P | {"formula": "LiFe4P3O12", "functional": "PBE+U", "state": "optimized geometry", "space_group": "No. 15", "crystal_system": "monoclinic", "lattice": [[-2.4139, -2.8208, 8.0361], [3.4854, -7.7071, -2.6105], [5.5639, -0.7761, 3.4391]], "species": ["Li", "Li", "Fe", "Fe", "Fe", "Fe", "Fe", "Fe", "Fe", "Fe", "P", "P", "P", "P", "P", "P", "O", "O", "O", "O", "O", "O", "O", "O", "O", "O", "O", "O", "O", "O", "O", "O", "O", "O", "O", "O", "O", "O", "O", "O"], "frac_coords": [[0.0069, 0.9931, 0.2500], [0.9931, 0.0069, 0.7500], [0.9441, 0.6324, 0.1257], [0.2673, 0.7327, 0.2500], [0.3676, 0.0559, 0.3743], [0.4994, 0.5006, 0.2500], [0.6324, 0.9441, 0.6257], [0.0559, 0.3676, 0.8743], [0.5006, 0.4994, 0.7500], [0.7327, 0.2673, 0.7500], [0.7056, 0.2944, 0.2500], [0.8888, 0.6691, 0.6183], [0.1112, 0.3309, 0.3817], [0.3309, 0.1112, 0.8817], [0.2944, 0.7056, 0.7500], [0.6691, 0.8888, 0.1183], [0.8510, 0.8392, 0.5958], [0.7285, 0.4744, 0.2429], [0.2715, 0.5256, 0.7571], [0.7345, 0.1934, 0.4632], [0.4744, 0.7285, 0.7429], [0.6071, 0.9597, 0.3076], [0.1934, 0.7345, 0.9632], [0.1608, 0.1490, 0.9042], [0.8066, 0.2655, 0.0368], [0.8392, 0.8510, 0.0958], [0.0403, 0.3929, 0.1924], [0.3184, 0.9899, 0.1130], [0.3929, 0.0403, 0.6924], [0.0101, 0.6816, 0.3870], [0.2628, 0.4630, 0.3345], [0.9597, 0.6071, 0.8076], [0.1490, 0.1608, 0.4042], [0.4630, 0.2628, 0.8345], [0.2655, 0.8066, 0.5368], [0.6816, 0.0101, 0.8870], [0.5256, 0.2715, 0.2571], [0.5370, 0.7372, 0.1655], [0.9899, 0.3184, 0.6130], [0.7372, 0.5370, 0.6655]]}



Q | {"formula": "LiFe4P3O12", "functional": "PBE+U", "state": "optimized geometry", "space_group": "No. 62", "crystal_system": "orthorhombic", "lattice": [[6.3875, 0.0000, 0.0000], [0.0000, 9.9994, 0.0000], [0.0000, 0.0000, 14.3678]], "species": ["Li", "Li", "Li", "Li", "Fe", "Fe", "Fe", "Fe", "Fe", "Fe", "Fe", "Fe", "Fe", "Fe", "Fe", "Fe", "Fe", "Fe", "Fe", "Fe", "P", "P", "P", "P", "P", "P", "P", "P", "P", "P", "P", "P", "O", "O", "O", "O", "O", "O", "O", "O", "O", "O", "O", "O", "O", "O", "O", "O", "O", "O", "O", "O", "O", "O", "O", "O", "O", "O", "O", "O", "O", "O", "O", "O", "O", "O", "O", "O", "O", "O", "O", "O", "O", "O", "O", "O", "O", "O", "O", "O"], "frac_coords": [[0.0548, 0.7410, 0.2500], [0.4452, 0.2410, 0.7500], [0.9452, 0.2590, 0.7500], [0.5548, 0.7590, 0.2500], [0.8581, 0.1567, 0.3876], [0.1419, 0.8433, 0.6124], [0.6462, 0.0578, 0.5946], [0.3538, 0.9422, 0.0946], [0.1419, 0.8433, 0.8876], [0.8538, 0.5578, 0.0946], [0.1462, 0.4422, 0.9054], [0.1462, 0.4422, 0.5946], [0.6419, 0.6567, 0.8876], [0.6462, 0.0578, 0.9054], [0.3581, 0.3433, 0.3876], [0.6419, 0.6567, 0.6124], [0.8538, 0.5578, 0.4054], [0.3581, 0.3433, 0.1124], [0.8581, 0.1567, 0.1124], [0.3538, 0.9422, 0.4054], [0.1453, 0.1317, 0.5731], [0.8547, 0.8683, 0.4269], [0.3547, 0.6317, 0.0731], [0.6453, 0.3683, 0.9269], [0.6453, 0.3683, 0.5731], [0.3547, 0.6317, 0.4269], [0.4961, 0.0929, 0.2500], [0.0039, 0.5929, 0.7500], [0.5039, 0.9071, 0.7500], [0.1453, 0.1317, 0.9269], [0.8547, 0.8683, 0.0731], [0.9961, 0.4071, 0.2500], [0.7106, 0.2651, 0.8529], [0.2106, 0.2349, 0.8529], [0.4701, 0.4641, 0.6089], [0.9203, 0.7881, 0.9851], [0.5548, 0.0586, 0.7500], [0.9452, 0.5586, 0.2500], [0.5299, 0.5359, 0.3911], [0.8998, 0.3514, 0.1590], [0.3998, 0.1486, 0.1590], [0.1002, 0.6486, 0.6590], [0.7368, 0.1183, 0.2500], [0.0299, 0.9641, 0.1089], [0.4701, 0.4641, 0.8911], [0.9701, 0.0359, 0.6089], [0.0299, 0.9641, 0.3911], [0.4203, 0.7119, 0.5149], [0.4452, 0.9414, 0.2500], [0.0548, 0.4414, 0.7500], [0.7894, 0.7651, 0.3529], [0.6002, 0.8514, 0.8410], [0.5797, 0.2881, 0.4851], [0.3998, 0.1486, 0.3410], [0.1715, 0.5297, 0.4497], [0.8998, 0.3514, 0.3410], [0.5797, 0.2881, 0.0149], [0.2106, 0.2349, 0.6471], [0.1002, 0.6486, 0.8410], [0.6715, 0.9703, 0.4497], [0.2368, 0.3817, 0.2500], [0.0797, 0.2119, 0.0149], [0.8285, 0.4703, 0.9497], [0.9203, 0.7881, 0.5149], [0.0797, 0.2119, 0.4851], [0.9701, 0.0359, 0.8911], [0.6715, 0.9703, 0.0503], [0.3285, 0.0297, 0.9497], [0.6002, 0.8514, 0.6590], [0.2632, 0.8817, 0.7500], [0.2894, 0.7349, 0.3529], [0.7632, 0.6183, 0.7500], [0.5299, 0.5359, 0.1089], [0.4203, 0.7119, 0.9851], [0.2894, 0.7349, 0.1471], [0.8285, 0.4703, 0.5503], [0.7894, 0.7651, 0.1471], [0.3285, 0.0297, 0.5503], [0.7106, 0.2651, 0.6471], [0.1715, 0.5297, 0.0503]]}



R | {"formula": "LiFe4P3O12", "functional": "PBE+U", "state": "optimized geometry", "space_group": "No. 9", "crystal_system": "monoclinic", "lattice": [[6.3883, 5.9162, 0.0000], [-6.3883, 5.9162, 0.0000], [0.0000, 3.0008, 5.8910]], "species": ["Li", "Li", "Fe", "Fe", "Fe", "Fe", "Fe", "Fe", "Fe", "Fe", "P", "P", "P", "P", "P", "P", "O", "O", "O", "O", "O", "O", "O", "O", "O", "O", "O", "O", "O", "O", "O", "O", "O", "O", "O", "O", "O", "O", "O", "O"], "frac_coords": [[0.0031, 0.9865, 0.2503], [0.9865, 0.0031, 0.7503], [0.0559, 0.3750, 0.3728], [0.3750, 0.0559, 0.8728], [0.7369, 0.2728, 0.2418], [0.4862, 0.4727, 0.4634], [0.2728, 0.7369, 0.7418], [0.4727, 0.4862, 0.9634], [0.6289, 0.9408, 0.1334], [0.9408, 0.6289, 0.6334], [0.3299, 0.1191, 0.3779], [0.1191, 0.3299, 0.8779], [0.3008, 0.6998, 0.2484], [0.6998, 0.3008, 0.7484], [0.8854, 0.6639, 0.1270], [0.6639, 0.8854, 0.6270], [0.3906, 0.0451, 0.1904], [0.1511, 0.1497, 0.4143], [0.0451, 0.3906, 0.6904], [0.1497, 0.1511, 0.9143], [0.6777, 0.0136, 0.3922], [0.4582, 0.2850, 0.3060], [0.2857, 0.5200, 0.2373], [0.0136, 0.6777, 0.8922], [0.2756, 0.8100, 0.0350], [0.1881, 0.7213, 0.4649], [0.2850, 0.4582, 0.8060], [0.5200, 0.2857, 0.7373], [0.4771, 0.7166, 0.2669], [0.7264, 0.5324, 0.1881], [0.8100, 0.2756, 0.5350], [0.7213, 0.1881, 0.9649], [0.9971, 0.3286, 0.1076], [0.7166, 0.4771, 0.7669], [0.5324, 0.7264, 0.6881], [0.3286, 0.9971, 0.6076], [0.8489, 0.8402, 0.0990], [0.9603, 0.6032, 0.3141], [0.8402, 0.8489, 0.5990], [0.6032, 0.9603, 0.8141]]}



Most stable to least stable, the ends of the list are P and Q.



P | {"formula": "LiAlVO4", "functional": "PBE+U", "state": "optimized geometry", "space_group": "No. 20", "crystal_system": "orthorhombic", "lattice": [[5.8127, -0.0035, -0.0006], [-0.0035, 5.8128, 0.0006], [-0.0009, 0.0008, 8.1570]], "species": ["Li", "Li", "Li", "Li", "Al", "Al", "Al", "Al", "V", "V", "V", "V", "O", "O", "O", "O", "O", "O", "O", "O", "O", "O", "O", "O", "O", "O", "O", "O"], "frac_coords": [[0.0001, 0.2261, 0.0000], [0.0000, 0.7738, 0.5000], [0.2261, 0.0001, 0.2500], [0.7738, 0.9999, 0.7500], [0.2582, 0.2582, 0.6250], [0.2584, 0.7417, 0.8750], [0.7417, 0.2584, 0.3750], [0.7417, 0.7417, 0.1250], [0.4996, 0.7745, 0.4999], [0.7745, 0.4996, 0.7501], [0.2255, 0.5006, 0.2501], [0.5005, 0.2255, 0.9999], [0.0038, 0.2672, 0.2613], [0.0040, 0.7326, 0.2386], [0.2672, 0.0038, 0.9887], [0.2673, 0.9961, 0.5112], [0.7326, 0.9961, 0.4886], [0.7326, 0.0040, 0.0113], [0.9961, 0.2673, 0.7388], [0.9961, 0.7326, 0.7614], [0.2668, 0.4928, 0.0099], [0.2668, 0.5069, 0.4902], [0.4928, 0.2668, 0.2401], [0.4933, 0.7334, 0.2597], [0.5069, 0.2668, 0.7598], [0.5071, 0.7331, 0.7400], [0.7332, 0.5071, 0.5100], [0.7334, 0.4932, 0.9903]]}



Q | {"formula": "LiAlVO4", "functional": "PBE+U", "state": "optimized geometry", "space_group": "No. 62", "crystal_system": "orthorhombic", "lattice": [[-2.7044, 0.4200, -1.0064], [-3.3026, -6.2218, 6.2779], [-1.3393, 7.4996, 6.7281]], "species": ["Li", "Li", "Li", "Li", "Al", "Al", "Al", "Al", "V", "V", "V", "V", "O", "O", "O", "O", "O", "O", "O", "O", "O", "O", "O", "O", "O", "O", "O", "O"], "frac_coords": [[0.2500, 0.5932, 0.1209], [0.7500, 0.9068, 0.6209], [0.2500, 0.0932, 0.3791], [0.7500, 0.4068, 0.8791], [0.2500, 0.5052, 0.6240], [0.7500, 0.9948, 0.1240], [0.2500, 0.0052, 0.8760], [0.7500, 0.4948, 0.3760], [0.7500, 0.7288, 0.8435], [0.2500, 0.7712, 0.3435], [0.7500, 0.2288, 0.6565], [0.2500, 0.2712, 0.1565], [0.2500, 0.6009, 0.4603], [0.2500, 0.6413, 0.9356], [0.7500, 0.6025, 0.7026], [0.7500, 0.6475, 0.2542], [0.2500, 0.8525, 0.7542], [0.2500, 0.8975, 0.2026], [0.7500, 0.8587, 0.4356], [0.7500, 0.8991, 0.9603], [0.2500, 0.1009, 0.0397], [0.2500, 0.1413, 0.5644], [0.7500, 0.1025, 0.7974], [0.7500, 0.1475, 0.2458], [0.2500, 0.3525, 0.7458], [0.2500, 0.3975, 0.2974], [0.7500, 0.3587, 0.0644], [0.7500, 0.3991, 0.5397]]}



Most stable to least stable, the ends of the list are P and Q.



P | {"formula": "NaMgNiO2", "functional": "PBE+U", "state": "optimized geometry", "space_group": "No. 2", "crystal_system": "triclinic", "lattice": [[-2.6383, 0.1236, -1.3749], [-4.2747, 0.2445, 3.0357], [-3.0307, 5.4698, -0.0914]], "species": ["Na", "Mg", "Ni", "O", "O"], "frac_coords": [[0.5001, 0.5000, 0.5000], [0.5000, 0.0000, 0.5000], [0.0000, 0.0000, 0.0000], [0.2582, 0.9621, 0.2676], [0.7418, 0.0379, 0.7324]]}



Q | {"formula": "NaMgNiO2", "functional": "PBE+U", "state": "optimized geometry", "space_group": "No. 8", "crystal_system": "monoclinic", "lattice": [[3.9562, 4.5221, 3.0243], [4.7994, 2.0651, 5.0624], [6.4735, 2.6412, 2.0109]], "species": ["Na", "Mg", "Ni", "O", "O"], "frac_coords": [[0.4077, 0.5849, 0.5849], [0.4814, 0.3457, 0.3457], [0.9443, 0.9616, 0.9616], [0.2131, 0.3209, 0.3209], [0.8582, 0.7036, 0.7036]]}



Most stable to least stable, the ends of the list are Q and P.